Entry 1:
Material: CeMgCd2
Method: DFT, PBE-GGA
State: optimized geometry

Cell and atoms, written as POSCAR:
```
CeMgCd2
1.0
0.0000 3.6621 3.6621
3.6621 0.0000 3.6621
3.6621 3.6621 0.0000
Cd Ce Mg
2 1 1
direct
0.7500 0.7500 0.7500 Cd
0.2500 0.2500 0.2500 Cd
0.5000 0.5000 0.5000 Ce
0.0000 0.0000 0.0000 Mg
```

=====

Entry 2:
Material: Ho2Si3Pd
Method: DFT, PBE-GGA
State: optimized geometry

Size of the total moment = 0.00 μB/atom

Cell and atoms, written as POSCAR:
```
Ho2Si3Pd
1.0
0.0000 0.0000 -4.0024
-2.0598 -3.5672 0.0000
-6.1135 3.5291 0.0000
Ho Si Pd
2 3 1
direct
0.0000 0.4999 0.5061 Ho
0.0000 0.0000 0.9917 Ho
0.5000 0.5000 0.8360 Si
0.5000 0.0000 0.6666 Si
0.5000 0.5000 0.1677 Si
0.5000 0.0000 0.3319 Pd
```

=====

Entry 3:
Material: Nd2MgAl
Method: DFT, PBE-GGA
State: optimized geometry

Cell and atoms, written as POSCAR:
```
Nd2MgAl
1.0
1.8911 -4.4264 2.3688
-2.8380 -4.5497 -0.1611
1.7037 -4.1200 -2.9839
Nd Al Mg
2 1 1
direct
0.2500 0.2500 0.2500 Nd
0.7500 0.7500 0.7500 Nd
0.5000 0.5000 0.5000 Al
0.0000 0.0000 0.0000 Mg
```

=====

Entry 4:
Material: LiTaNbAg2O6
Method: DFT, PBE-GGA
State: optimized geometry

Energy with MP2020 corrections = -7.461 eV/atom
Size of the total moment = 0.00 μB/atom

Cell and atoms, written as POSCAR:
```
LiTaNbAg2O6
1.0
-4.1285 0.0000 0.0280
-0.0098 0.0000 -4.0639
0.0000 -8.2261 0.0000
Li Ta O Nb Ag
1 1 6 1 2
direct
0.5000 0.0000 0.9629 Li
0.5000 0.5000 0.7321 Ta
0.5000 0.0000 0.2446 O
0.5000 0.0000 0.7395 O
0.5000 0.5000 0.9846 O
0.0000 0.5000 0.2545 O
0.5000 0.5000 0.4937 O
0.0000 0.5000 0.7300 O
0.5000 0.5000 0.2526 Nb
0.0000 0.0000 0.0916 Ag
0.0000 0.0000 0.5140 Ag
```

=====

Entry 5:
Material: Na5AlH8O8
Method: DFT, PBE-GGA
State: optimized geometry

Energy with MP2020 corrections = -5.222 eV/atom
Size of the total moment = 0.00 μB/atom

Cell and atoms, written as POSCAR:
```
Na5AlH8O8
1.0
9.5634 0.0000 0.0000
0.0000 9.5634 0.0000
0.0000 0.0000 9.7189
H Na O Al
32 20 32 4
direct
0.2895 0.8633 0.2005 H
0.7895 0.6367 0.5495 H
0.7670 0.3722 0.2881 H
0.2105 0.3633 0.0495 H
0.8867 0.0532 0.9569 H
0.2330 0.6278 0.7881 H
0.5370 0.3608 0.9806 H
0.4630 0.6392 0.4806 H
0.0532 0.8867 0.0431 H
0.3722 0.7670 0.7119 H
0.8722 0.7330 0.0381 H
0.6133 0.5532 0.2931 H
0.6392 0.4630 0.5194 H
0.8608 0.9630 0.7306 H
0.4468 0.3867 0.2069 H
0.2670 0.1278 0.4619 H
0.9468 0.1133 0.5431 H
0.9630 0.8608 0.2694 H
0.6278 0.2330 0.2119 H
0.1367 0.7105 0.2995 H
0.7105 0.1367 0.7005 H
0.7330 0.8722 0.9619 H
0.1133 0.9468 0.4569 H
0.8633 0.2895 0.7995 H
0.3608 0.5370 0.0194 H
0.3867 0.4468 0.7931 H
0.0370 0.1392 0.7694 H
0.6367 0.7895 0.4505 H
0.5532 0.6133 0.7069 H
0.1392 0.0370 0.2306 H
0.1278 0.2670 0.5381 H
0.3633 0.2105 0.9505 H
0.1310 0.3780 0.7667 Na
0.3715 0.1133 0.7226 Na
0.6249 0.6249 0.0000 Na
0.1133 0.3715 0.2774 Na
0.1285 0.6133 0.5274 Na
0.6133 0.1285 0.4726 Na
0.3751 0.3751 0.5000 Na
0.6220 0.8690 0.7333 Na
0.3867 0.8715 0.9726 Na
0.6310 0.1220 0.9833 Na
0.3780 0.1310 0.2333 Na
0.1249 0.8751 0.7500 Na
0.8751 0.1249 0.2500 Na
0.8780 0.3690 0.5167 Na
0.8715 0.3867 0.0274 Na
0.8867 0.6285 0.7774 Na
0.6285 0.8867 0.2226 Na
0.3690 0.8780 0.4833 Na
0.8690 0.6220 0.2667 Na
0.1220 0.6310 0.0167 Na
0.9256 0.1389 0.9947 O
0.1241 0.3335 0.0054 O
0.6665 0.8759 0.4946 O
0.8661 0.8706 0.2987 O
0.8802 0.6331 0.0236 O
0.5744 0.6389 0.2553 O
0.3802 0.8669 0.7264 O
0.3706 0.6339 0.0487 O
0.6241 0.1665 0.7446 O
0.8611 0.0744 0.5053 O
0.1389 0.9256 0.0053 O
0.3759 0.8335 0.2446 O
0.0744 0.8611 0.4947 O
0.4256 0.3611 0.7553 O
0.6331 0.8802 0.9764 O
0.6198 0.1331 0.2264 O
0.1294 0.1339 0.2013 O
0.8335 0.3759 0.7554 O
0.8759 0.6665 0.5054 O
0.3611 0.4256 0.2447 O
0.1339 0.1294 0.7987 O
0.3335 0.1241 0.9946 O
0.3661 0.6294 0.4513 O
0.6294 0.3661 0.5487 O
0.6339 0.3706 0.9513 O
0.8706 0.8661 0.7013 O
0.1198 0.3669 0.5236 O
0.6389 0.5744 0.7447 O
0.1331 0.6198 0.7736 O
0.3669 0.1198 0.4764 O
0.8669 0.3802 0.2736 O
0.1665 0.6241 0.2554 O
0.8706 0.8706 0.5000 Al
0.6294 0.3706 0.7500 Al
0.1294 0.1294 0.0000 Al
0.3706 0.6294 0.2500 Al
```

=====

Entry 6:
Material: LiLu2Ir
Method: DFT, PBE-GGA
State: optimized geometry

Cell and atoms, written as POSCAR:
```
LiLu2Ir
1.0
3.7835 -1.9901 2.2049
-0.2034 -0.9893 4.7028
-0.2136 -4.5686 1.4896
Lu Li Ir
2 1 1
direct
0.7500 0.7500 0.7500 Lu
0.2500 0.2500 0.2500 Lu
0.0000 0.0000 0.0000 Li
0.5000 0.5000 0.5000 Ir
```

=====

Entry 7:
Material: Ti2As4W3
Method: DFT, PBE-GGA
State: optimized geometry

Size of the total moment = 0.00 μB/atom

Cell and atoms, written as POSCAR:
```
Ti2As4W3
1.0
3.0639 0.0492 1.3855
-1.0667 9.7036 10.1805
-0.9364 0.0584 10.2350
As Ti W
8 4 6
direct
0.2809 0.4415 0.7774 As
0.9406 0.7154 0.3443 As
0.0546 0.7854 0.6602 As
0.7191 0.5585 0.2226 As
0.2822 0.9461 0.7719 As
0.7178 0.0539 0.2281 As
0.9454 0.2146 0.3398 As
0.0594 0.2846 0.6557 As
0.6877 0.6241 0.6882 Ti
0.3123 0.3759 0.3118 Ti
0.3769 0.1902 0.9330 Ti
0.6231 0.8098 0.0670 Ti
0.6979 0.1275 0.6751 W
0.0000 0.0000 0.0000 W
0.0000 0.5000 0.0000 W
0.3734 0.6995 0.9269 W
0.6266 0.3005 0.0731 W
0.3021 0.8725 0.3249 W
```

=====

Entry 8:
Material: Ba21Ge2O5
Method: DFT, PBE-GGA
State: optimized geometry

Energy with MP2020 corrections = -3.702 eV/atom
Size of the total moment = 0.14 μB/atom

Cell and atoms, written as POSCAR:
```
Ba21Ge2O5
1.0
0.0000 10.6496 10.6496
10.6496 0.0000 10.6496
10.6496 10.6496 0.0000
Ba Ge O
42 4 10
direct
0.2272 0.9313 0.6708 Ba
0.3292 0.0687 0.7728 Ba
0.4989 0.4989 0.7511 Ba
0.6708 0.6708 0.2272 Ba
0.2489 0.5011 0.5011 Ba
0.7728 0.3292 0.0687 Ba
0.7511 0.4989 0.4989 Ba
0.3292 0.3292 0.0687 Ba
0.0687 0.7728 0.3292 Ba
0.8750 0.8750 0.8750 Ba
0.6708 0.2272 0.6708 Ba
0.4989 0.7511 0.7511 Ba
0.0000 0.0000 0.0000 Ba
0.2272 0.6708 0.6708 Ba
0.2489 0.5011 0.2489 Ba
0.9313 0.6708 0.2272 Ba
0.6708 0.9313 0.2272 Ba
0.7728 0.3292 0.3292 Ba
0.0000 0.0000 0.5000 Ba
0.5011 0.5011 0.2489 Ba
0.0687 0.3292 0.3292 Ba
0.1250 0.1250 0.1250 Ba
0.9313 0.6708 0.6708 Ba
0.7511 0.7511 0.4989 Ba
0.0687 0.3292 0.7728 Ba
0.3292 0.7728 0.0687 Ba
0.2272 0.6708 0.9313 Ba
0.7511 0.4989 0.7511 Ba
0.0000 0.5000 0.0000 Ba
0.6708 0.9313 0.6708 Ba
0.3292 0.0687 0.3292 Ba
0.5011 0.2489 0.5011 Ba
0.5011 0.2489 0.2489 Ba
0.6708 0.2272 0.9313 Ba
0.6708 0.6708 0.9313 Ba
0.9313 0.2272 0.6708 Ba
0.4989 0.7511 0.4989 Ba
0.7728 0.0687 0.3292 Ba
0.2489 0.2489 0.5011 Ba
0.3292 0.3292 0.7728 Ba
0.3292 0.7728 0.3292 Ba
0.5000 0.0000 0.0000 Ba
0.5000 0.5000 0.0000 Ge
0.5000 0.0000 0.5000 Ge
0.5000 0.5000 0.5000 Ge
0.0000 0.5000 0.5000 Ge
0.3493 0.7169 0.7169 O
0.2831 0.6507 0.2831 O
0.7169 0.7169 0.3493 O
0.7169 0.7169 0.7169 O
0.3750 0.3750 0.3750 O
0.2831 0.2831 0.6507 O
0.6250 0.6250 0.6250 O
0.6507 0.2831 0.2831 O
0.7169 0.3493 0.7169 O
0.2831 0.2831 0.2831 O
```

=====

Entry 9:
Material: SmHoRu2
Method: DFT, PBE-GGA
State: optimized geometry

Cell and atoms, written as POSCAR:
```
SmHoRu2
1.0
3.0283 -3.1709 2.0743
-1.7670 -3.7454 2.5254
0.3741 -4.5043 -1.7604
Ru Sm Ho
2 1 1
direct
0.2500 0.2500 0.2500 Ru
0.7500 0.7500 0.7500 Ru
0.0000 0.0000 0.0000 Sm
0.5000 0.5000 0.5000 Ho
```

=====

Entry 10:
Material: TbCoB4
Method: DFT, PBE-GGA
State: optimized geometry

Cell and atoms, written as POSCAR:
```
TbCoB4
1.0
3.4048 0.0000 0.0000
0.0000 5.9132 0.0000
0.0000 0.0000 11.4438
B Tb Co
16 4 4
direct
0.0000 0.6396 0.0324 B
0.0000 0.7808 0.6845 B
0.0000 0.8890 0.9542 B
0.0000 0.2808 0.8155 B
0.0000 0.8604 0.5324 B
0.0000 0.9769 0.8095 B
0.0000 0.0231 0.1905 B
0.0000 0.1396 0.4676 B
0.0000 0.2192 0.3155 B
0.0000 0.1110 0.0458 B
0.0000 0.3604 0.9676 B
0.0000 0.3890 0.5458 B
0.0000 0.4769 0.6905 B
0.0000 0.6110 0.4542 B
0.0000 0.7192 0.1845 B
0.0000 0.5231 0.3095 B
0.5000 0.6273 0.8501 Tb
0.5000 0.8727 0.3501 Tb
0.5000 0.3727 0.1499 Tb
0.5000 0.1273 0.6499 Tb
0.5000 0.3655 0.4109 Co
0.5000 0.1345 0.9109 Co
0.5000 0.8655 0.0891 Co
0.5000 0.6345 0.5891 Co
```

=====

Entry 11:
Material: Nd4Ru
Method: DFT, PBE-GGA
State: optimized geometry

Size of the total moment = 0.00 μB/atom

Cell and atoms, written as POSCAR:
```
Nd4Ru
1.0
-5.5545 -5.5545 0.0000
-5.5545 0.0000 -5.5545
0.0000 -5.5545 -5.5545
Nd Ru
8 2
direct
0.5897 0.1368 0.1368 Nd
0.6132 0.6132 0.1603 Nd
0.1368 0.5897 0.1368 Nd
0.1603 0.6132 0.6132 Nd
0.6132 0.6132 0.6132 Nd
0.1368 0.1368 0.5897 Nd
0.6132 0.1603 0.6132 Nd
0.1368 0.1368 0.1368 Nd
0.0000 0.0000 0.0000 Ru
0.7500 0.7500 0.7500 Ru
```

=====

Entry 12:
Material: MgAlBi12O20
Method: DFT, PBE-GGA
State: optimized geometry

Energy with MP2020 corrections = -6.172 eV/atom
Size of the total moment = 0.02 μB/atom

Cell and atoms, written as POSCAR:
```
MgAlBi12O20
1.0
-5.2633 -5.1786 5.1690
-5.2984 5.2151 -5.1690
5.2984 -5.2151 -5.1690
O Mg Bi Al
20 1 12 1
direct
0.2634 0.6168 0.3829 O
0.0158 0.0022 0.8029 O
0.3919 0.2910 0.6196 O
0.2797 0.9382 0.6149 O
0.3695 0.9828 0.9939 O
0.7203 0.3352 0.6586 O
0.3869 0.6520 0.7638 O
0.6131 0.3768 0.2651 O
0.6525 0.7660 0.3783 O
0.6305 0.6244 0.6133 O
0.7999 0.0050 0.9878 O
0.7366 0.1195 0.3534 O
0.6081 0.2277 0.8990 O
0.2001 0.1879 0.2051 O
0.0020 0.3718 0.9962 O
0.1225 0.3608 0.7317 O
0.3475 0.7258 0.1135 O
0.8775 0.6092 0.2383 O
0.9980 0.9943 0.3698 O
0.9842 0.7871 0.9864 O
0.5000 0.1400 0.6400 Mg
0.8783 0.1750 0.6940 Bi
0.1217 0.8157 0.2968 Bi
0.1886 0.6717 0.8471 Bi
0.1587 0.2903 0.4713 Bi
0.8114 0.6585 0.4831 Bi
0.3139 0.1340 0.8629 Bi
0.6946 0.8624 0.1910 Bi
0.8413 0.3125 0.1315 Bi
0.4862 0.1552 0.2971 Bi
0.5138 0.8109 0.6691 Bi
0.6861 0.5490 0.8201 Bi
0.3054 0.4963 0.1677 Bi
0.0000 0.9968 0.9968 Al
```

=====

no.,ΔH_f (0 K) (eV/atom)
1,-0.230
2,-0.837
3,-0.253
4,-2.077
5,-1.718
6,-0.673
7,-0.426
8,-1.049
9,-0.254
10,-0.578
11,0.272
12,-1.731